GGA+U Li4V3Fe3W2O16, relaxed; total energy after the MP2020 corrections = -8.093 eV per atom; DFT formation energy = -2.19 eV/atom; energy = -6.959 eV per atom; relative energy among the computed polymorphs = 0.018 eV/atom
1.0
6.002 0.000 0.000
-2.990 5.257 0.000
-0.025 -0.027 9.789
Li V Fe W O
4 3 3 2 16
direct
0.332 0.663 0.902
0.006 0.002 0.991
0.998 0.001 0.488
0.665 0.328 0.405
0.183 0.349 0.218
0.828 0.170 0.715
0.340 0.167 0.714
0.666 0.836 0.210
0.169 0.837 0.209
0.827 0.655 0.717
0.331 0.667 0.486
0.675 0.342 0.989
0.651 0.816 0.592
0.479 0.952 0.365
0.317 0.638 0.113
0.013 0.031 0.302
0.997 0.995 0.800
0.163 0.818 0.591
0.465 0.502 0.355
0.040 0.505 0.355
0.832 0.672 0.084
0.171 0.340 0.594
0.965 0.482 0.840
0.522 0.478 0.845
0.666 0.334 0.608
0.843 0.192 0.088
0.516 0.038 0.841
0.339 0.191 0.093